[1]
UTl2Cr2O10: optimized geometry, GGA+U.

Energy with MP2020 corrections (eV/atom): -7.77
Symmetry: Pca2_1, No. 29
Formation energy (eV/atom): -2.115

Unit cell a=10.837 b=13.632 c=14.072 alpha=90.00 beta=90.00 gamma=90.00
Fractional coordinates of all 120 atoms:
U1 0.156 0.240 0.000
U2 0.161 0.732 0.850
U3 0.339 0.732 0.350
U4 0.344 0.240 0.500
U5 0.656 0.760 0.000
U6 0.661 0.268 0.850
U7 0.839 0.268 0.350
U8 0.844 0.760 0.500
Tl1 0.006 0.572 0.299
Tl2 0.026 0.946 0.029
Tl3 0.218 0.557 0.571
Tl4 0.244 0.084 0.745
Tl5 0.256 0.084 0.245
Tl6 0.282 0.557 0.071
Tl7 0.474 0.946 0.529
Tl8 0.494 0.572 0.799
Tl9 0.506 0.428 0.299
Tl10 0.526 0.054 0.029
Tl11 0.718 0.443 0.571
Tl12 0.744 0.916 0.745
Tl13 0.756 0.916 0.245
Tl14 0.782 0.443 0.071
Tl15 0.974 0.054 0.529
Tl16 0.994 0.428 0.799
Cr1 0.047 0.338 0.570
Cr2 0.062 0.891 0.325
Cr3 0.155 0.817 0.593
Cr4 0.165 0.336 0.266
Cr5 0.335 0.336 0.766
Cr6 0.345 0.817 0.093
Cr7 0.438 0.891 0.825
Cr8 0.453 0.338 0.070
Cr9 0.547 0.662 0.570
Cr10 0.562 0.109 0.325
Cr11 0.655 0.183 0.593
Cr12 0.665 0.664 0.266
Cr13 0.835 0.664 0.766
Cr14 0.845 0.183 0.093
Cr15 0.938 0.109 0.825
Cr16 0.953 0.662 0.070
O1 0.008 0.851 0.570
O2 0.012 0.555 0.101
O3 0.022 0.359 0.307
O4 0.024 0.945 0.225
O5 0.042 0.718 0.987
O6 0.045 0.339 0.980
O7 0.057 0.270 0.665
O8 0.072 0.136 0.884
O9 0.095 0.855 0.839
O10 0.143 0.968 0.389
O11 0.147 0.788 0.305
O12 0.157 0.267 0.168
O13 0.160 0.729 0.680
O14 0.192 0.359 0.526
O15 0.217 0.769 0.495
O16 0.228 0.610 0.862
O17 0.232 0.441 0.241
O18 0.232 0.914 0.625
O19 0.233 0.142 0.524
O20 0.247 0.275 0.349
O21 0.253 0.275 0.849
O22 0.267 0.142 0.024
O23 0.268 0.441 0.741
O24 0.268 0.914 0.125
O25 0.272 0.610 0.362
O26 0.283 0.769 0.995
O27 0.308 0.359 0.026
O28 0.340 0.729 0.180
O29 0.343 0.267 0.668
O30 0.353 0.788 0.805
O31 0.357 0.968 0.889
O32 0.405 0.855 0.339
O33 0.428 0.136 0.384
O34 0.443 0.270 0.165
O35 0.455 0.339 0.480
O36 0.458 0.718 0.487
O37 0.476 0.945 0.725
O38 0.478 0.359 0.807
O39 0.488 0.555 0.601
O40 0.492 0.851 0.070
O41 0.508 0.149 0.570
O42 0.512 0.445 0.101
O43 0.522 0.641 0.307
O44 0.524 0.055 0.225
O45 0.542 0.282 0.987
O46 0.545 0.661 0.980
O47 0.557 0.730 0.665
O48 0.572 0.864 0.884
O49 0.595 0.145 0.839
O50 0.643 0.032 0.389
O51 0.647 0.212 0.305
O52 0.657 0.733 0.168
O53 0.660 0.271 0.680
O54 0.692 0.641 0.526
O55 0.717 0.231 0.495
O56 0.728 0.390 0.862
O57 0.732 0.086 0.625
O58 0.732 0.559 0.241
O59 0.733 0.858 0.524
O60 0.747 0.725 0.349
O61 0.753 0.725 0.849
O62 0.767 0.858 0.024
O63 0.768 0.086 0.125
O64 0.768 0.559 0.741
O65 0.772 0.390 0.362
O66 0.783 0.231 0.995
O67 0.808 0.641 0.026
O68 0.840 0.271 0.180
O69 0.843 0.733 0.668
O70 0.853 0.212 0.805
O71 0.857 0.032 0.889
O72 0.905 0.145 0.339
O73 0.928 0.864 0.384
O74 0.943 0.730 0.165
O75 0.955 0.661 0.480
O76 0.958 0.282 0.487
O77 0.976 0.055 0.725
O78 0.978 0.641 0.807
O79 0.988 0.445 0.601
O80 0.992 0.149 0.070

[2]
TmCr2O2: optimized geometry, GGA+U.

Energy with MP2020 corrections (eV/atom): -7.86
Symmetry: I4_1/amd, No. 141
Formation energy (eV/atom): -1.128

Unit cell a=7.894 b=7.894 c=7.894 alpha=111.02 beta=111.02 gamma=106.41
Fractional coordinates of all 20 atoms:
Tm1 0.000 0.000 0.000
Tm2 0.000 0.000 0.500
Tm3 0.000 0.500 0.000
Tm4 0.500 0.000 0.500
Cr1 0.088 0.644 0.445
Cr2 0.301 0.356 0.945
Cr3 0.356 0.301 0.445
Cr4 0.356 0.912 0.055
Cr5 0.644 0.088 0.945
Cr6 0.644 0.699 0.555
Cr7 0.699 0.644 0.055
Cr8 0.912 0.356 0.555
O1 0.202 0.301 0.599
O2 0.202 0.604 0.901
O3 0.301 0.202 0.099
O4 0.396 0.798 0.599
O5 0.604 0.202 0.401
O6 0.699 0.798 0.901
O7 0.798 0.396 0.099
O8 0.798 0.699 0.401

[3]
UCrO4: optimized geometry, GGA+U.

Energy with MP2020 corrections (eV/atom): -9.96
Symmetry: Pbcn, No. 60
Formation energy (eV/atom): -3.172

Unit cell a=4.895 b=11.969 c=5.164 alpha=90.00 beta=90.00 gamma=90.00
Fractional coordinates of all 24 atoms:
U1 0.000 0.169 0.250
U2 0.000 0.831 0.750
U3 0.500 0.331 0.750
U4 0.500 0.669 0.250
Cr1 0.000 0.438 0.250
Cr2 0.000 0.562 0.750
Cr3 0.500 0.062 0.750
Cr4 0.500 0.938 0.250
O1 0.220 0.311 0.091
O2 0.220 0.689 0.591
O3 0.228 0.446 0.573
O4 0.228 0.554 0.073
O5 0.272 0.054 0.073
O6 0.272 0.946 0.573
O7 0.280 0.189 0.591
O8 0.280 0.811 0.091
O9 0.720 0.189 0.909
O10 0.720 0.811 0.409
O11 0.728 0.054 0.427
O12 0.728 0.946 0.927
O13 0.772 0.446 0.927
O14 0.772 0.554 0.427
O15 0.780 0.311 0.409
O16 0.780 0.689 0.909

[4]
VCr2O4: optimized geometry, GGA+U.

Energy with MP2020 corrections (eV/atom): -9.10
Symmetry: Fd-3m, No. 227
Formation energy (eV/atom): -2.213

Unit cell a=6.056 b=6.056 c=6.056 alpha=60.00 beta=60.00 gamma=60.00
Fractional coordinates of all 14 atoms:
V1 0.125 0.125 0.125
V2 0.875 0.875 0.875
Cr1 0.000 0.500 0.500
Cr2 0.500 0.000 0.500
Cr3 0.500 0.500 0.000
Cr4 0.500 0.500 0.500
O1 0.260 0.260 0.260
O2 0.260 0.260 0.721
O3 0.260 0.721 0.260
O4 0.279 0.740 0.740
O5 0.721 0.260 0.260
O6 0.740 0.279 0.740
O7 0.740 0.740 0.279
O8 0.740 0.740 0.740

[5]
VCrO5: optimized geometry, GGA+U.

Energy with MP2020 corrections (eV/atom): -8.16
Symmetry: Pnma, No. 62
Formation energy (eV/atom): -1.952

Unit cell a=7.457 b=6.688 c=7.826 alpha=90.00 beta=90.00 gamma=90.00
Fractional coordinates of all 28 atoms:
V1 0.156 0.250 0.238
V2 0.344 0.750 0.738
V3 0.656 0.250 0.262
V4 0.844 0.750 0.762
Cr1 0.122 0.750 0.125
Cr2 0.378 0.250 0.625
Cr3 0.622 0.750 0.375
Cr4 0.878 0.250 0.875
O1 0.057 0.250 0.002
O2 0.123 0.546 0.249
O3 0.123 0.954 0.249
O4 0.124 0.750 0.693
O5 0.204 0.250 0.494
O6 0.296 0.750 0.994
O7 0.376 0.250 0.193
O8 0.377 0.046 0.749
O9 0.377 0.454 0.749
O10 0.443 0.750 0.502
O11 0.557 0.250 0.498
O12 0.623 0.546 0.251
O13 0.623 0.954 0.251
O14 0.624 0.750 0.807
O15 0.704 0.250 0.006
O16 0.796 0.750 0.506
O17 0.876 0.250 0.307
O18 0.877 0.046 0.751
O19 0.877 0.454 0.751
O20 0.943 0.750 0.998

[6]
VCr2O6: optimized geometry, GGA+U.

Energy with MP2020 corrections (eV/atom): -8.66
Symmetry: Pbcn, No. 60
Formation energy (eV/atom): -2.209

Unit cell a=4.442 b=16.658 c=4.919 alpha=90.00 beta=90.00 gamma=90.00
Fractional coordinates of all 36 atoms:
V1 0.000 0.112 0.250
V2 0.000 0.888 0.750
V3 0.500 0.388 0.750
V4 0.500 0.612 0.250
Cr1 0.000 0.218 0.750
Cr2 0.000 0.450 0.250
Cr3 0.000 0.550 0.750
Cr4 0.000 0.782 0.250
Cr5 0.500 0.050 0.750
Cr6 0.500 0.282 0.250
Cr7 0.500 0.718 0.750
Cr8 0.500 0.950 0.250
O1 0.225 0.128 0.570
O2 0.225 0.206 0.087
O3 0.225 0.794 0.587
O4 0.225 0.872 0.070
O5 0.240 0.459 0.592
O6 0.240 0.541 0.092
O7 0.260 0.041 0.092
O8 0.260 0.959 0.592
O9 0.275 0.294 0.587
O10 0.275 0.372 0.070
O11 0.275 0.628 0.570
O12 0.275 0.706 0.087
O13 0.725 0.294 0.913
O14 0.725 0.372 0.430
O15 0.725 0.628 0.930
O16 0.725 0.706 0.413
O17 0.740 0.041 0.408
O18 0.740 0.959 0.908
O19 0.760 0.459 0.908
O20 0.760 0.541 0.408
O21 0.775 0.128 0.930
O22 0.775 0.206 0.413
O23 0.775 0.794 0.913
O24 0.775 0.872 0.430

[7]
V3CrO10: optimized geometry, GGA+U.

Energy with MP2020 corrections (eV/atom): -8.26
Symmetry: I-4, No. 82
Formation energy (eV/atom): -2.093

Unit cell a=8.013 b=8.013 c=8.013 alpha=108.98 beta=108.98 gamma=110.46
Fractional coordinates of all 28 atoms:
V1 0.000 0.000 0.000
V2 0.191 0.692 0.000
V3 0.308 0.308 0.499
V4 0.500 0.500 0.000
V5 0.692 0.191 0.000
V6 0.809 0.809 0.501
Cr1 0.501 0.001 0.500
Cr2 0.999 0.499 0.500
O1 0.000 0.502 0.716
O2 0.000 0.716 0.501
O3 0.001 0.783 0.000
O4 0.131 0.131 0.498
O5 0.214 0.498 0.499
O6 0.217 0.217 0.218
O7 0.283 0.502 0.999
O8 0.284 0.786 0.284
O9 0.367 0.869 0.000
O10 0.498 0.214 0.498
O11 0.498 0.497 0.781
O12 0.502 0.000 0.716
O13 0.503 0.284 0.001
O14 0.633 0.633 0.502
O15 0.716 0.000 0.502
O16 0.716 0.717 0.219
O17 0.783 0.001 0.000
O18 0.786 0.284 0.284
O19 0.869 0.367 0.000
O20 0.999 0.999 0.782

[8]
V5CrO12: optimized geometry, GGA+U.

Energy with MP2020 corrections (eV/atom): -8.73
Symmetry: C2, No. 5
Formation energy (eV/atom): -2.369

Unit cell a=6.863 b=6.863 c=5.687 alpha=104.86 beta=104.86 gamma=84.44
Fractional coordinates of all 18 atoms:
V1 0.000 0.000 0.000
V2 0.287 0.311 0.501
V3 0.479 0.109 0.991
V4 0.689 0.713 0.499
V5 0.891 0.521 0.009
Cr1 0.166 0.834 0.500
O1 0.049 0.741 0.124
O2 0.122 0.107 0.392
O3 0.165 0.545 0.507
O4 0.259 0.951 0.876
O5 0.423 0.301 0.803
O6 0.452 0.265 0.306
O7 0.455 0.835 0.493
O8 0.699 0.577 0.197
O9 0.722 0.010 0.036
O10 0.735 0.548 0.694
O11 0.893 0.878 0.608
O12 0.990 0.278 0.964

[9]
V4Cr2O13: optimized geometry, GGA+U.

Energy with MP2020 corrections (eV/atom): -8.68
Symmetry: P2_1/c, No. 14
Formation energy (eV/atom): -2.362

Unit cell a=8.484 b=9.552 c=14.904 alpha=90.00 beta=103.11 gamma=90.00
Fractional coordinates of all 76 atoms:
V1 0.035 0.211 0.092
V2 0.035 0.289 0.592
V3 0.243 0.225 0.329
V4 0.243 0.275 0.829
V5 0.359 0.741 0.172
V6 0.359 0.759 0.672
V7 0.457 0.709 0.908
V8 0.457 0.791 0.408
V9 0.543 0.209 0.592
V10 0.543 0.291 0.092
V11 0.641 0.241 0.328
V12 0.641 0.259 0.828
V13 0.757 0.725 0.171
V14 0.757 0.775 0.671
V15 0.965 0.711 0.408
V16 0.965 0.789 0.908
Cr1 0.189 0.002 0.513
Cr2 0.189 0.498 0.013
Cr3 0.310 0.501 0.491
Cr4 0.310 0.999 0.991
Cr5 0.690 0.001 0.009
Cr6 0.690 0.499 0.509
Cr7 0.811 0.502 0.987
Cr8 0.811 0.998 0.487
O1 0.008 0.114 0.547
O2 0.008 0.386 0.047
O3 0.120 0.221 0.214
O4 0.120 0.279 0.714
O5 0.151 0.636 0.424
O6 0.151 0.864 0.924
O7 0.152 0.115 0.037
O8 0.152 0.385 0.537
O9 0.173 0.112 0.398
O10 0.173 0.388 0.898
O11 0.222 0.615 0.127
O12 0.222 0.885 0.627
O13 0.263 0.112 0.875
O14 0.263 0.388 0.375
O15 0.337 0.614 0.606
O16 0.337 0.886 0.106
O17 0.349 0.618 0.970
O18 0.349 0.713 0.788
O19 0.349 0.787 0.288
O20 0.349 0.882 0.470
O21 0.358 0.134 0.581
O22 0.358 0.366 0.081
O23 0.443 0.171 0.322
O24 0.443 0.329 0.822
O25 0.490 0.615 0.453
O26 0.490 0.885 0.953
O27 0.510 0.115 0.047
O28 0.510 0.385 0.547
O29 0.557 0.671 0.178
O30 0.557 0.829 0.678
O31 0.642 0.634 0.919
O32 0.642 0.866 0.419
O33 0.651 0.118 0.530
O34 0.651 0.213 0.712
O35 0.651 0.287 0.212
O36 0.651 0.382 0.030
O37 0.663 0.114 0.894
O38 0.663 0.386 0.394
O39 0.737 0.612 0.625
O40 0.737 0.888 0.125
O41 0.778 0.115 0.373
O42 0.778 0.385 0.873
O43 0.827 0.612 0.102
O44 0.827 0.888 0.602
O45 0.848 0.615 0.463
O46 0.848 0.885 0.963
O47 0.849 0.136 0.076
O48 0.849 0.364 0.576
O49 0.880 0.721 0.286
O50 0.880 0.779 0.786
O51 0.992 0.614 0.953
O52 0.992 0.886 0.453

[10]
VCr2O4: optimized geometry, GGA+U.

Energy with MP2020 corrections (eV/atom): -9.11
Symmetry: Imma, No. 74
Formation energy (eV/atom): -2.231

Unit cell a=6.017 b=6.017 c=6.017 alpha=118.52 beta=117.30 gamma=93.67
Fractional coordinates of all 14 atoms:
V1 0.376 0.126 0.250
V2 0.624 0.874 0.750
Cr1 0.000 0.000 0.500
Cr2 0.000 0.500 0.000
Cr3 0.000 0.500 0.500
Cr4 0.500 0.500 0.000
O1 0.208 0.746 0.462
O2 0.216 0.254 0.962
O3 0.246 0.280 0.534
O4 0.246 0.712 0.966
O5 0.754 0.288 0.034
O6 0.754 0.720 0.466
O7 0.784 0.746 0.038
O8 0.792 0.254 0.538